No. 1
A plane-wave DFT calculation with PBE-GGA was carried out for KGdCO3F2 after structural relaxation. Values from VASP.

Structure (Quantum ESPRESSO input):
```
&SYSTEM
  ibrav = 0, nat = 32, ntyp = 5
/
ATOMIC_SPECIES
K 39.10 K.upf
Gd 157.25 Gd.upf
C 12.01 C.upf
O 16.00 O.upf
F 19.00 F.upf
ATOMIC_POSITIONS crystal
K 0.0427 0.0427 0.2073
K 0.2073 0.2073 0.0427
K 0.7927 0.7927 0.9573
K 0.9573 0.9573 0.7927
Gd 0.1923 0.5577 0.1923
Gd 0.4423 0.8077 0.4423
Gd 0.5577 0.1923 0.5577
Gd 0.8077 0.4423 0.8077
C 0.2528 0.2528 0.4972
C 0.4972 0.4972 0.2528
C 0.5028 0.5028 0.7472
C 0.7472 0.7472 0.5028
O 0.0634 0.3850 0.6851
O 0.3123 0.3123 0.4377
O 0.3149 0.6335 0.9366
O 0.3665 0.6851 0.3850
O 0.3850 0.0634 0.3665
O 0.4377 0.4377 0.3123
O 0.5623 0.5623 0.6877
O 0.6150 0.9366 0.6335
O 0.6335 0.3149 0.6150
O 0.6851 0.3665 0.0634
O 0.6877 0.6877 0.5623
O 0.9366 0.6150 0.3149
F 0.0683 0.1493 0.4730
F 0.1493 0.0683 0.8094
F 0.1906 0.5270 0.8507
F 0.4730 0.8094 0.0683
F 0.5270 0.1906 0.9317
F 0.8094 0.4730 0.1493
F 0.8507 0.9317 0.1906
F 0.9317 0.8507 0.5270
CELL_PARAMETERS angstrom
0.0000 5.6636 11.0406
3.5326 0.0000 11.0406
3.5326 5.6636 0.0000
```

Results
- Distance to the lowest polymorph of the same formula: 0.000 eV/atom


No. 2
A plane-wave DFT calculation with PBE-GGA was carried out for MgSi2 after structural relaxation. Values from VASP.

Structure (Quantum ESPRESSO input):
```
&SYSTEM
  ibrav = 0, nat = 6, ntyp = 2
/
ATOMIC_SPECIES
Mg 24.30 Mg.upf
Si 28.09 Si.upf
ATOMIC_POSITIONS crystal
Mg 0.1927 0.4063 0.2089
Mg 0.8073 0.5937 0.7911
Si 0.1262 0.9915 0.7596
Si 0.4377 0.7568 0.3536
Si 0.5623 0.2432 0.6464
Si 0.8738 0.0085 0.2404
CELL_PARAMETERS angstrom
4.4636 0.0000 0.0000
2.0463 4.6441 0.0000
2.1781 1.1316 4.9795
```

Results
- Distance to the lowest polymorph of the same formula: 0.119 eV/atom


No. 3
A plane-wave DFT calculation with PBE-GGA was carried out for Na4ScZnP3O12 after structural relaxation. Values from VASP.

Structure (Quantum ESPRESSO input):
```
&SYSTEM
  ibrav = 0, nat = 126, ntyp = 5
/
ATOMIC_SPECIES
O 16.00 O.upf
Na 22.99 Na.upf
P 30.97 P.upf
Zn 65.41 Zn.upf
Sc 44.96 Sc.upf
ATOMIC_POSITIONS crystal
O 0.0116 0.1880 0.9134
O 0.8564 0.5035 0.4208
O 0.3449 0.8547 0.5801
O 0.1222 0.6433 0.3613
O 0.8067 0.7816 0.3093
O 0.5098 0.8547 0.0801
O 0.1764 0.9884 0.9134
O 0.6471 0.5035 0.9208
O 0.3083 0.4483 0.4760
O 0.3083 0.8600 0.9760
O 0.1222 0.4789 0.8613
O 0.8431 0.3218 0.2467
O 0.1453 0.4902 0.5801
O 0.3137 0.8368 0.2541
O 0.8851 0.5267 0.1426
O 0.3567 0.8778 0.8613
O 0.5211 0.8778 0.3613
O 0.0233 0.8122 0.6946
O 0.9804 0.8102 0.0874
O 0.2184 0.1933 0.8093
O 0.9749 0.7816 0.8093
O 0.1632 0.6863 0.7541
O 0.8067 0.0251 0.8093
O 0.7889 0.9767 0.6946
O 0.5517 0.8600 0.4760
O 0.0116 0.8236 0.4134
O 0.6782 0.1569 0.7467
O 0.1878 0.2111 0.6946
O 0.5098 0.6551 0.5801
O 0.3137 0.4769 0.7541
O 0.6471 0.1436 0.4208
O 0.1400 0.6917 0.4760
O 0.1400 0.4483 0.9760
O 0.1764 0.1880 0.4134
O 0.4787 0.1569 0.2467
O 0.8120 0.9884 0.4134
O 0.8564 0.3529 0.9208
O 0.9749 0.1933 0.3093
O 0.5211 0.6433 0.8613
O 0.6782 0.5213 0.2467
O 0.3449 0.4902 0.0801
O 0.4787 0.3218 0.7467
O 0.1453 0.6551 0.0801
O 0.5231 0.6863 0.2541
O 0.0233 0.2111 0.1946
O 0.1632 0.4769 0.2541
O 0.4733 0.3584 0.1426
O 0.5517 0.6917 0.9760
O 0.1878 0.9767 0.1946
O 0.7889 0.8122 0.1946
O 0.8851 0.3584 0.6426
O 0.8299 0.8102 0.5874
O 0.8431 0.5213 0.7467
O 0.4555 0.1456 0.5279
O 0.2184 0.0251 0.3093
O 0.1898 0.0196 0.5874
O 0.6900 0.1456 0.0279
O 0.6416 0.1149 0.1426
O 0.6416 0.5267 0.6426
O 0.6900 0.5445 0.5279
O 0.5231 0.8368 0.7541
O 0.1898 0.1701 0.0874
O 0.8544 0.3100 0.5279
O 0.4965 0.1436 0.9208
O 0.8299 0.0196 0.0874
O 0.4733 0.1149 0.6426
O 0.8544 0.5445 0.0279
O 0.4965 0.3529 0.4208
O 0.4555 0.3100 0.0279
O 0.3567 0.4789 0.3613
O 0.9804 0.1701 0.5874
O 0.8120 0.8236 0.9134
Na 0.7061 0.6775 0.4140
Na 0.3728 0.3619 0.2473
Na 0.6381 0.6272 0.7473
Na 0.3333 0.6667 0.1618
Na 0.3048 0.3442 0.5806
Na 0.3048 0.9605 0.0806
Na 0.6558 0.9605 0.5806
Na 0.7061 0.0286 0.9140
Na 0.3225 0.0286 0.4140
Na 0.0000 0.0000 0.4951
Na 0.9891 0.3619 0.7473
Na 0.9714 0.2939 0.4140
Na 0.6667 0.3333 0.3285
Na 0.0000 0.0000 0.9951
Na 0.9891 0.6272 0.2473
Na 0.3333 0.6667 0.6618
Na 0.6558 0.6952 0.0806
Na 0.6381 0.0109 0.2473
Na 0.3225 0.2939 0.9140
Na 0.3728 0.0109 0.7473
Na 0.0395 0.3442 0.0806
Na 0.0395 0.6952 0.5806
Na 0.6667 0.3333 0.8285
Na 0.9714 0.6775 0.9140
P 0.9994 0.7002 0.7515
P 0.9664 0.3339 0.5849
P 0.3675 0.3339 0.0849
P 0.6331 0.6673 0.9182
P 0.0342 0.6673 0.4182
P 0.9994 0.2992 0.2515
P 0.0342 0.3669 0.9182
P 0.6661 0.0336 0.0849
P 0.7008 0.7002 0.2515
P 0.3327 0.3669 0.4182
P 0.3675 0.0336 0.5849
P 0.9664 0.6325 0.0849
P 0.6661 0.6325 0.5849
P 0.2998 0.0006 0.2515
P 0.6331 0.9658 0.4182
P 0.7008 0.0006 0.7515
P 0.3327 0.9658 0.9182
P 0.2998 0.2992 0.7515
Zn 0.0000 0.0000 0.8439
Zn 0.0000 0.0000 0.3439
Zn 0.6667 0.3333 0.1772
Zn 0.3333 0.6667 0.0106
Zn 0.6667 0.3333 0.6772
Zn 0.3333 0.6667 0.5106
Sc 0.3333 0.6667 0.3169
Sc 0.6667 0.3333 0.4835
Sc 0.6667 0.3333 0.9835
Sc 0.3333 0.6667 0.8169
Sc 0.0000 0.0000 0.1502
Sc 0.0000 0.0000 0.6502
CELL_PARAMETERS angstrom
9.1276 0.0000 0.0000
-4.5638 7.9047 0.0000
0.0000 0.0000 21.8758
```


| no. | E_form (kJ per mole of atoms) |
| --- | --- |
| 1 | -300.5 |
| 2 | 19.0 |
| 3 | -265.3 |